1.
Compound: U2Al20Fe
Source: the Materials Project database
Functional: PBE
Structure: optimized geometry

Cell: 10.2538 10.2538 10.2538 Å, 103.99 103.99 121.10°
Sites, in units of the cell vectors:
U (0.0859, 0.0859, 0.6751)
U (0.4108, 0.4108, 0.3249)
U (0.5892, 0.9141, 0.0000)
U (0.9141, 0.5892, 0.0000)
Al (0.0000, 0.1527, 0.1527)
Al (0.0000, 0.8473, 0.8473)
Al (0.0068, 0.3328, 0.8532)
Al (0.0324, 0.7642, 0.5872)
Al (0.0510, 0.3208, 0.5933)
Al (0.1527, 0.0000, 0.1527)
Al (0.1536, 0.4795, 0.1468)
Al (0.1769, 0.4451, 0.4128)
Al (0.2358, 0.8231, 0.2682)
Al (0.2432, 0.2432, 0.0000)
Al (0.2500, 0.7500, 0.5000)
Al (0.2507, 0.7251, 0.0000)
Al (0.2725, 0.6792, 0.7301)
Al (0.2749, 0.2749, 0.5256)
Al (0.3208, 0.0510, 0.5933)
Al (0.3328, 0.0068, 0.8532)
Al (0.3490, 0.5000, 0.8490)
Al (0.4451, 0.1769, 0.4128)
Al (0.4577, 0.7275, 0.4067)
Al (0.4795, 0.1536, 0.1468)
Al (0.5000, 0.3490, 0.8490)
Al (0.5000, 0.6510, 0.1510)
Al (0.5205, 0.6672, 0.6741)
Al (0.5423, 0.9490, 0.2699)
Al (0.5549, 0.9676, 0.7318)
Al (0.6510, 0.5000, 0.1510)
Al (0.6672, 0.5205, 0.6741)
Al (0.6792, 0.2725, 0.7301)
Al (0.7251, 0.2507, 0.0000)
Al (0.7275, 0.4577, 0.4067)
Al (0.7493, 0.7493, 0.4744)
Al (0.7500, 0.2500, 0.5000)
Al (0.7568, 0.7568, 0.0000)
Al (0.7642, 0.0324, 0.5872)
Al (0.8231, 0.2358, 0.2682)
Al (0.8464, 0.9932, 0.3259)
Al (0.8473, 0.0000, 0.8473)
Al (0.9490, 0.5423, 0.2699)
Al (0.9676, 0.5549, 0.7318)
Al (0.9932, 0.8464, 0.3259)
Fe (0.0000, 0.5000, 0.5000)
Fe (0.5000, 0.0000, 0.5000)

Calculated total energy, eV for the cell shown: -216.25
Space-group type: No. 121

2.
Compound: Ta2PtSe7
Source: the Materials Project database
Functional: PBE
Structure: optimized geometry

Cell: 8.0490 8.0490 18.9959 Å, 108.88 108.88 25.65°
Sites, in units of the cell vectors:
Ta (0.1608, 0.1608, 0.3984)
Ta (0.2348, 0.2348, 0.0931)
Ta (0.7652, 0.7652, 0.9069)
Ta (0.8392, 0.8392, 0.6016)
Pt (0.3015, 0.3015, 0.7894)
Pt (0.6985, 0.6985, 0.2106)
Se (0.0954, 0.0954, 0.1298)
Se (0.1555, 0.1555, 0.8293)
Se (0.2056, 0.2056, 0.5521)
Se (0.2669, 0.2669, 0.3070)
Se (0.3474, 0.3474, 0.0100)
Se (0.4135, 0.4135, 0.7067)
Se (0.4536, 0.4536, 0.5822)
Se (0.5464, 0.5464, 0.4178)
Se (0.5865, 0.5865, 0.2933)
Se (0.6526, 0.6526, 0.9900)
Se (0.7331, 0.7331, 0.6930)
Se (0.7944, 0.7944, 0.4479)
Se (0.8445, 0.8445, 0.1707)
Se (0.9046, 0.9046, 0.8702)

Space-group type: No. 12
Energy with MP2020 corrections, eV per formula unit: -63.77

3.
Compound: BaCe2MnS5
Source: the Materials Project database
Functional: PBE
Structure: optimized geometry

Cell: 8.7944 8.7944 8.7944 Å, 126.85 126.85 78.50°
Sites, in units of the cell vectors:
Ba (0.2500, 0.2500, 0.0000)
Ba (0.7500, 0.7500, 0.0000)
Ce (0.1587, 0.6587, 0.8173)
Ce (0.3413, 0.1587, 0.5000)
Ce (0.6587, 0.8413, 0.5000)
Ce (0.8413, 0.3413, 0.1827)
Mn (0.2500, 0.7500, 0.5000)
Mn (0.7500, 0.2500, 0.5000)
S (0.0000, 0.0000, 0.0000)
S (0.0173, 0.2153, 0.5000)
S (0.2153, 0.7153, 0.1980)
S (0.2847, 0.4827, 0.5000)
S (0.4827, 0.9827, 0.1980)
S (0.5000, 0.5000, 0.0000)
S (0.5173, 0.0173, 0.8020)
S (0.7153, 0.5173, 0.5000)
S (0.7847, 0.2847, 0.8020)
S (0.9827, 0.7847, 0.5000)

Space-group type: No. 140
Energy with MP2020 corrections, eV per formula unit: -61.87

4.
Compound: HfV2N3
Source: the Materials Project database
Functional: PBE
Structure: optimized geometry

Cell: 5.3102 5.3102 5.3102 Å, 146.85 132.62 59.05°
Sites, in units of the cell vectors:
Hf (0.0000, 0.0000, 0.0000)
V (0.3185, 0.3185, 0.0000)
V (0.6815, 0.6815, 0.0000)
N (0.1696, 0.6696, 0.5000)
N (0.5000, 0.0000, 0.5000)
N (0.8304, 0.3304, 0.5000)

Space-group type: No. 71
Energy with MP2020 corrections, eV per formula unit: -61.40

5.
Compound: Ba4LiBi3O11
Source: the Materials Project database
Functional: PBE
Structure: optimized geometry

Cell: 8.7089 6.1648 6.1648 Å, 90.61 90.00 90.00°
Sites, in units of the cell vectors:
Ba (0.2455, 0.2381, 0.7619)
Ba (0.2455, 0.7619, 0.2381)
Ba (0.7545, 0.2381, 0.7619)
Ba (0.7545, 0.7619, 0.2381)
Li (0.0000, 0.7960, 0.7960)
Bi (0.0000, 0.2519, 0.2519)
Bi (0.5000, 0.2639, 0.2639)
Bi (0.5000, 0.7550, 0.7550)
O (0.0000, 0.0148, 0.0148)
O (0.0000, 0.0156, 0.5103)
O (0.0000, 0.5103, 0.0156)
O (0.2475, 0.2863, 0.2863)
O (0.2562, 0.7584, 0.7584)
O (0.5000, 0.0079, 0.0079)
O (0.5000, 0.0093, 0.5137)
O (0.5000, 0.5122, 0.5122)
O (0.5000, 0.5137, 0.0093)
O (0.7438, 0.7584, 0.7584)
O (0.7525, 0.2863, 0.2863)

Space-group type: No. 38
Energy with MP2020 corrections, eV per formula unit: -117.72

6.
Compound: VPt3
Source: the Materials Project database
Functional: PBE
Structure: optimized geometry

Cell: 3.9247 3.9247 3.9247 Å, 90.00 90.00 90.00°
Sites, in units of the cell vectors:
V (0.0000, 0.0000, 0.0000)
Pt (0.0000, 0.5000, 0.5000)
Pt (0.5000, 0.0000, 0.5000)
Pt (0.5000, 0.5000, 0.0000)

Calculated total energy, eV for the cell shown: -29.04
Space-group type: No. 221

7.
Compound: In3Pb3N5
Source: the Materials Project database
Functional: PBE
Structure: optimized geometry

Cell: 6.3134 6.9652 9.9638 Å, 76.27 86.86 86.41°
Sites, in units of the cell vectors:
In (0.1368, 0.1919, 0.4443)
In (0.1533, 0.4150, 0.7515)
In (0.2836, 0.5386, 0.0861)
In (0.7164, 0.4614, 0.9139)
In (0.8467, 0.5850, 0.2485)
In (0.8632, 0.8081, 0.5557)
Pb (0.2166, 0.0792, 0.0706)
Pb (0.2706, 0.8564, 0.7612)
Pb (0.3558, 0.6889, 0.3920)
Pb (0.6442, 0.3111, 0.6080)
Pb (0.7294, 0.1436, 0.2388)
Pb (0.7834, 0.9208, 0.9294)
N (0.0416, 0.7835, 0.0963)
N (0.0790, 0.3116, 0.2241)
N (0.2134, 0.8781, 0.5316)
N (0.2792, 0.3856, 0.5508)
N (0.3810, 0.5264, 0.8681)
N (0.6190, 0.4736, 0.1319)
N (0.7208, 0.6144, 0.4492)
N (0.7866, 0.1219, 0.4684)
N (0.9210, 0.6884, 0.7759)
N (0.9584, 0.2165, 0.9037)

Space-group type: No. 2
Energy with MP2020 corrections, eV per formula unit: -58.26

8.
Compound: CoSi2Se4
Source: the Materials Project database
Functional: PBE
Structure: optimized geometry

Cell: 6.9242 6.9242 6.2649 Å, 115.81 115.81 30.16°
Sites, in units of the cell vectors:
Co (0.0000, 0.0000, 0.0000)
Si (0.2637, 0.2637, 0.2846)
Si (0.7363, 0.7363, 0.7154)
Se (0.1167, 0.1167, 0.4366)
Se (0.3811, 0.3811, 0.0254)
Se (0.6189, 0.6189, 0.9746)
Se (0.8833, 0.8833, 0.5634)

Space-group type: No. 12
Energy with MP2020 corrections, eV per formula unit: -34.49